No. 1
Co2CuS4 PBE optimized geometry; energy of formation from the pure elements = -0.71 eV per atom; calculated density = 4.84 Mg/m³
1.0
0.000 4.738 4.738
4.738 0.000 4.738
4.738 4.738 0.000
Co Cu S
4 2 8
Direct
0.000 0.000 0.000
0.000 0.000 0.500
0.000 0.500 0.000
0.500 0.000 0.000
0.375 0.375 0.375
0.625 0.625 0.625
0.211 0.763 0.763
0.237 0.237 0.237
0.237 0.237 0.789
0.237 0.789 0.237
0.763 0.211 0.763
0.763 0.763 0.211
0.763 0.763 0.763
0.789 0.237 0.237


No. 2
CeMg6V PBE optimized geometry; energy of formation from the pure elements = 0.20 eV per atom; calculated density = 2.99 Mg/m³; energy above the most stable polymorph in this dataset = 0 meV/atom
1.0
5.011 0.000 0.000
0.000 3.270 5.717
0.000 -3.270 5.717
Ce Mg V
1 6 1
Direct
0.000 0.000 0.000
0.000 0.001 0.482
0.000 0.480 0.480
0.000 0.482 0.001
0.500 0.155 0.638
0.500 0.638 0.155
0.500 0.653 0.653
0.500 0.145 0.145


No. 3
Cu2C4NCl3 PBE optimized geometry; energy of formation from the pure elements = 0.98 eV per atom; calculated density = 2.43 Mg/m³
1.0
14.797 0.000 0.000
0.000 6.054 0.000
0.000 0.000 9.018
Cu C N Cl
8 16 4 12
Direct
0.093 0.008 0.076
0.093 0.492 0.076
0.407 0.508 0.576
0.407 0.992 0.576
0.593 0.008 0.424
0.593 0.492 0.424
0.907 0.508 0.924
0.907 0.992 0.924
0.100 0.750 0.485
0.131 0.556 0.568
0.131 0.944 0.568
0.200 0.750 0.430
0.300 0.250 0.930
0.369 0.056 0.068
0.369 0.444 0.068
0.400 0.250 0.985
0.600 0.750 0.015
0.631 0.556 0.932
0.631 0.944 0.932
0.700 0.750 0.070
0.800 0.250 0.570
0.869 0.056 0.432
0.869 0.444 0.432
0.900 0.250 0.515
0.192 0.750 0.599
0.308 0.250 0.099
0.692 0.750 0.901
0.808 0.250 0.401
0.043 0.250 0.883
0.082 0.250 0.259
0.180 0.750 0.977
0.320 0.250 0.477
0.418 0.750 0.759
0.457 0.750 0.383
0.543 0.250 0.617
0.582 0.250 0.241
0.680 0.750 0.523
0.820 0.250 0.023
0.918 0.750 0.741
0.957 0.750 0.117


No. 4
AsPdSe PBE optimized geometry; energy of formation from the pure elements = -0.51 eV per atom; calculated density = 7.29 Mg/m³
1.0
6.189 0.000 0.000
0.000 6.189 0.000
0.000 0.000 6.189
As Pd Se
4 4 4
Direct
0.117 0.117 0.117
0.383 0.883 0.617
0.617 0.383 0.883
0.883 0.617 0.383
0.007 0.993 0.493
0.493 0.007 0.993
0.507 0.507 0.507
0.993 0.493 0.007
0.113 0.387 0.613
0.387 0.613 0.113
0.613 0.113 0.387
0.887 0.887 0.887


No. 5
RbNaUSi2O9 PBE optimized geometry; energy of formation from the pure elements = -2.80 eV per atom; calculated density = 3.94 Mg/m³
1.0
7.459 0.000 0.000
0.749 7.903 0.000
2.159 1.485 7.824
Rb Na U Si O
2 2 2 4 18
Direct
0.102 0.449 0.209
0.898 0.551 0.791
0.385 0.809 0.756
0.615 0.191 0.244
0.000 0.000 0.000
0.500 0.500 0.500
0.212 0.139 0.562
0.212 0.859 0.349
0.788 0.141 0.651
0.788 0.861 0.438
0.000 0.209 0.545
0.000 0.791 0.455
0.074 0.771 0.979
0.193 0.988 0.173
0.219 0.079 0.760
0.280 0.966 0.473
0.310 0.545 0.686
0.350 0.689 0.328
0.351 0.290 0.451
0.436 0.255 0.028
0.564 0.745 0.972
0.649 0.710 0.549
0.650 0.311 0.672
0.690 0.455 0.314
0.720 0.034 0.527
0.781 0.921 0.240
0.807 0.012 0.827
0.926 0.229 0.021


No. 6
Na3AlF6 PBE optimized geometry; energy of formation from the pure elements = -3.39 eV per atom; calculated density = 2.84 Mg/m³; energy above the most stable polymorph in this dataset = 0 meV/atom
1.0
5.473 0.000 0.000
0.000 5.681 0.000
-5.444 0.000 7.885
Na Al F
6 2 12
Direct
0.000 0.000 0.000
0.000 0.500 0.500
0.231 0.054 0.746
0.231 0.446 0.246
0.769 0.554 0.754
0.769 0.946 0.254
0.500 0.000 0.500
0.500 0.500 0.000
0.180 0.174 0.453
0.180 0.326 0.953
0.269 0.732 0.433
0.269 0.768 0.933
0.390 0.049 0.282
0.390 0.451 0.782
0.610 0.549 0.218
0.610 0.951 0.718
0.731 0.232 0.067
0.731 0.268 0.567
0.820 0.674 0.047
0.820 0.826 0.547


No. 7
Rb2MgO2 PBE optimized geometry; energy of formation from the pure elements = -1.90 eV per atom; calculated density = 3.75 Mg/m³; energy above the most stable polymorph in this dataset = 3 meV/atom
1.0
10.932 0.000 0.000
0.000 6.528 0.000
0.000 0.000 5.636
Rb Mg O
8 4 8
Direct
0.156 0.138 0.062
0.156 0.862 0.562
0.344 0.362 0.562
0.344 0.638 0.062
0.656 0.362 0.938
0.656 0.638 0.438
0.844 0.138 0.438
0.844 0.862 0.938
0.000 0.487 0.750
0.000 0.513 0.250
0.500 0.013 0.250
0.500 0.987 0.750
0.091 0.334 0.494
0.091 0.666 0.994
0.409 0.166 0.994
0.409 0.834 0.494
0.591 0.166 0.506
0.591 0.834 0.006
0.909 0.334 0.006
0.909 0.666 0.506


No. 8
Na3ZrScSiP2O12 PBE optimized geometry; energy of formation from the pure elements = -3.09 eV per atom; calculated density = 3.00 Mg/m³; energy above the most stable polymorph in this dataset = 0 meV/atom
1.0
-5.635 -7.306 -12.833
-7.034 -3.177 4.897
-2.104 8.483 2.483
Na Zr Sc Si P O
12 4 4 4 8 48
Direct
0.251 0.721 0.993
0.751 0.779 0.493
0.751 0.221 0.993
0.251 0.279 0.493
0.505 0.106 0.762
0.505 0.894 0.262
0.005 0.606 0.762
0.005 0.394 0.262
0.186 0.932 0.291
0.186 0.068 0.791
0.686 0.432 0.291
0.686 0.568 0.791
0.896 0.758 0.941
0.896 0.242 0.441
0.396 0.258 0.941
0.396 0.742 0.441
0.105 0.744 0.562
0.105 0.256 0.062
0.605 0.244 0.562
0.605 0.756 0.062
0.645 0.897 0.741
0.645 0.103 0.241
0.145 0.397 0.741
0.145 0.603 0.241
0.003 0.953 0.759
0.003 0.047 0.259
0.503 0.453 0.759
0.503 0.547 0.259
0.351 0.898 0.757
0.351 0.102 0.257
0.851 0.398 0.757
0.851 0.602 0.257
0.151 0.575 0.744
0.847 0.570 0.755
0.847 0.430 0.255
0.151 0.425 0.244
0.651 0.075 0.744
0.347 0.070 0.755
0.347 0.930 0.255
0.651 0.925 0.244
0.442 0.558 0.594
0.564 0.544 0.931
0.564 0.456 0.431
0.442 0.442 0.094
0.942 0.058 0.594
0.064 0.044 0.931
0.064 0.956 0.431
0.942 0.942 0.094
0.257 0.842 0.749
0.741 0.815 0.752
0.741 0.185 0.252
0.257 0.158 0.249
0.757 0.342 0.749
0.241 0.315 0.752
0.241 0.685 0.252
0.757 0.658 0.249
0.348 0.857 0.586
0.639 0.841 0.905
0.639 0.159 0.405
0.348 0.143 0.086
0.848 0.357 0.586
0.139 0.341 0.905
0.139 0.659 0.405
0.848 0.643 0.086
0.451 0.841 0.926
0.538 0.839 0.555
0.538 0.161 0.055
0.451 0.159 0.426
0.951 0.341 0.926
0.038 0.339 0.555
0.038 0.661 0.055
0.951 0.659 0.426
0.079 0.858 0.746
0.922 0.850 0.751
0.922 0.150 0.251
0.079 0.142 0.246
0.579 0.358 0.746
0.422 0.350 0.751
0.422 0.650 0.251
0.579 0.642 0.246


No. 9
KAs PBE optimized geometry; energy of formation from the pure elements = -0.45 eV per atom; calculated density = 2.88 Mg/m³; energy above the most stable polymorph in this dataset = 0 meV/atom; maximum piezoelectric response = 0.24 C/m²
1.0
6.561 0.000 0.000
0.000 6.803 0.000
0.000 0.000 11.762
K As
8 8
Direct
0.100 0.106 0.419
0.166 0.352 0.789
0.334 0.648 0.289
0.400 0.894 0.919
0.600 0.394 0.581
0.666 0.148 0.211
0.834 0.852 0.711
0.900 0.606 0.081
0.093 0.565 0.533
0.168 0.181 0.112
0.332 0.819 0.612
0.407 0.435 0.033
0.593 0.935 0.467
0.668 0.319 0.888
0.832 0.681 0.388
0.907 0.065 0.967


No. 10
SrCaBiSbO6 PBE optimized geometry; energy of formation from the pure elements = -2.41 eV per atom; calculated density = 6.13 Mg/m³; energy above the most stable polymorph in this dataset = 0 meV/atom
1.0
8.433 0.000 0.000
0.000 8.440 0.000
0.000 0.000 8.443
Sr Ca Bi Sb O
4 4 4 4 24
Direct
0.000 0.000 0.000
0.000 0.000 0.500
0.500 0.000 0.000
0.500 0.500 0.500
0.000 0.500 0.000
0.000 0.500 0.500
0.500 0.000 0.500
0.500 0.500 0.000
0.250 0.253 0.750
0.250 0.747 0.250
0.750 0.253 0.250
0.750 0.747 0.750
0.250 0.253 0.251
0.250 0.747 0.749
0.750 0.253 0.749
0.750 0.747 0.251
0.020 0.216 0.201
0.020 0.784 0.799
0.194 0.482 0.297
0.194 0.518 0.703
0.216 0.203 0.483
0.216 0.797 0.517
0.293 0.309 0.022
0.293 0.691 0.978
0.294 0.020 0.214
0.294 0.980 0.786
0.482 0.287 0.297
0.482 0.713 0.703
0.518 0.287 0.703
0.518 0.713 0.297
0.706 0.020 0.786
0.706 0.980 0.214
0.707 0.309 0.978
0.707 0.691 0.022
0.784 0.203 0.517
0.784 0.797 0.483
0.806 0.482 0.703
0.806 0.518 0.297
0.980 0.216 0.799
0.980 0.784 0.201


No. 11
MgAg14Pb6O18 PBE optimized geometry; energy of formation from the pure elements = -0.85 eV per atom; calculated density = 7.99 Mg/m³; energy above the most stable polymorph in this dataset = 35 meV/atom
1.0
8.793 0.000 0.000
2.762 8.515 0.000
2.533 1.931 8.513
Mg Ag Pb O
1 14 6 18
Direct
0.000 0.000 0.000
0.050 0.014 0.678
0.117 0.643 0.873
0.152 0.153 0.329
0.246 0.232 0.965
0.324 0.776 0.548
0.367 0.392 0.137
0.455 0.451 0.733
0.489 0.956 0.208
0.534 0.550 0.324
0.646 0.120 0.876
0.731 0.726 0.422
0.793 0.304 0.551
0.849 0.855 0.634
0.944 0.478 0.222
0.122 0.456 0.561
0.146 0.781 0.250
0.463 0.122 0.554
0.464 0.796 0.884
0.780 0.150 0.233
0.792 0.465 0.886
0.063 0.093 0.156
0.066 0.442 0.825
0.115 0.722 0.514
0.134 0.516 0.296
0.182 0.842 0.906
0.194 0.194 0.542
0.400 0.394 0.543
0.428 0.774 0.145
0.453 0.064 0.818
0.502 0.849 0.610
0.514 0.521 0.912
0.518 0.152 0.283
0.734 0.726 0.863
0.741 0.113 0.491
0.762 0.414 0.155
0.821 0.191 0.945
0.846 0.489 0.616
0.863 0.893 0.206


No. 12
CdGeO3 PBE optimized geometry; energy of formation from the pure elements = -1.56 eV per atom; calculated density = 7.15 Mg/m³
1.0
3.782 0.000 0.000
0.000 3.782 0.000
0.000 0.000 3.782
Cd Ge O
1 1 3
Direct
0.000 0.000 0.000
0.500 0.500 0.500
0.000 0.500 0.500
0.500 0.000 0.500
0.500 0.500 0.000


No. 13
SrSc2O4 PBE optimized geometry; energy of formation from the pure elements = -3.71 eV per atom; calculated density = 3.95 Mg/m³; energy above the most stable polymorph in this dataset = 31 meV/atom
1.0
0.000 4.665 4.665
4.665 0.000 4.665
4.665 4.665 0.000
Sr Sc O
2 4 8
Direct
0.125 0.125 0.125
0.875 0.875 0.875
0.000 0.500 0.500
0.500 0.000 0.500
0.500 0.500 0.000
0.500 0.500 0.500
0.270 0.270 0.270
0.270 0.270 0.690
0.270 0.690 0.270
0.310 0.730 0.730
0.690 0.270 0.270
0.730 0.310 0.730
0.730 0.730 0.310
0.730 0.730 0.730